(1)
First-principles (PBE-GGA) data for crystalline Tm15S22 at its relaxed geometry, as listed in Materials Project.

Values from the calculation:
DFT formation energy, eV per atom: -2.304
Energy with MP2020 corrections, Ha/atom: -0.2417

CIF file:
```
data_Tm15S22
_chemical_formula_sum 'Tm30 S44'
_symmetry_space_group_name_H-M 'C 1 2/m 1'
_symmetry_Int_Tables_number 12
_symmetry_space_group_name_Hall '-C 2y'
_cell_length_a 38.5524
_cell_length_b 3.8509
_cell_length_c 11.1978
_cell_angle_alpha 90.00
_cell_angle_beta 90.92
_cell_angle_gamma 90.00
loop_
_atom_site_label
_atom_site_type_symbol
_atom_site_fract_x
_atom_site_fract_y
_atom_site_fract_z
Tm1 Tm 0.0000 0.0000 0.0000
Tm2 Tm 0.0395 0.5000 0.7275
Tm3 Tm 0.0690 0.0000 0.3572
Tm4 Tm 0.1049 0.0000 0.0106
Tm5 Tm 0.1333 0.5000 0.6575
Tm6 Tm 0.1571 0.5000 0.3056
Tm7 Tm 0.2012 0.0000 0.9432
Tm8 Tm 0.2345 0.5000 0.6470
S1 S 0.0072 0.0000 0.2385
S2 S 0.0489 0.5000 0.9685
S3 S 0.0527 0.5000 0.5021
S4 S 0.0901 0.0000 0.7518
S5 S 0.0930 0.5000 0.2063
S6 S 0.1338 0.0000 0.4615
S7 S 0.1470 0.5000 0.9074
S8 S 0.1667 0.0000 0.1494
S9 S 0.1862 0.0000 0.6925
S10 S 0.2202 0.5000 0.4080
S11 S 0.2449 0.5000 0.8796
```


(2)
First-principles (PBE-GGA) data for crystalline Er2Zr8O19 at its relaxed geometry, as listed in Materials Project.

Values from the calculation:
DFT formation energy, eV per atom: -3.769
Energy with MP2020 corrections, Ha/atom: -0.3559

CIF file:
```
data_Er2Zr8O19
_chemical_formula_sum 'Er2 Zr8 O19'
_symmetry_space_group_name_H-M 'P -4 m 2'
_symmetry_Int_Tables_number 115
_symmetry_space_group_name_Hall 'P -4 -2'
_cell_length_a 3.6623
_cell_length_b 3.6623
_cell_length_c 26.1938
_cell_angle_alpha 90.00
_cell_angle_beta 90.00
_cell_angle_gamma 90.00
loop_
_atom_site_label
_atom_site_type_symbol
_atom_site_fract_x
_atom_site_fract_y
_atom_site_fract_z
Er1 Er 0.0000 0.5000 0.0570
Zr1 Zr 0.0000 0.5000 0.2528
Zr2 Zr 0.0000 0.5000 0.4510
Zr3 Zr 0.0000 0.5000 0.6478
Zr4 Zr 0.0000 0.5000 0.8470
O1 O 0.0000 0.0000 0.0000
O2 O 0.0000 0.0000 0.1113
O3 O 0.0000 0.0000 0.2103
O4 O 0.0000 0.0000 0.3096
O5 O 0.0000 0.0000 0.4061
O6 O 0.0000 0.0000 0.5000
O7 O 0.5000 0.5000 0.0952
O8 O 0.5000 0.5000 0.1945
O9 O 0.5000 0.5000 0.2963
O10 O 0.5000 0.5000 0.3966
O11 O 0.5000 0.5000 0.5000
```


(3)
First-principles (PBE-GGA) data for crystalline BaTe3O7 at its relaxed geometry, as listed in Materials Project.

Values from the calculation:
DFT formation energy, eV per atom: -1.907
Energy with MP2020 corrections, Ha/atom: -0.2237

CIF file:
```
data_BaTe3O7
_chemical_formula_sum 'Ba4 Te12 O28'
_symmetry_space_group_name_H-M 'P 1 21/c 1'
_symmetry_Int_Tables_number 14
_symmetry_space_group_name_Hall '-P 2ybc'
_cell_length_a 10.4698
_cell_length_b 5.3635
_cell_length_c 15.8908
_cell_angle_alpha 90.00
_cell_angle_beta 120.79
_cell_angle_gamma 90.00
loop_
_atom_site_label
_atom_site_type_symbol
_atom_site_fract_x
_atom_site_fract_y
_atom_site_fract_z
Ba1 Ba 0.0809 0.2399 0.3960
Te1 Te 0.2358 0.2250 0.2079
Te2 Te 0.3114 0.7373 0.1064
Te3 Te 0.4244 0.6915 0.9073
O1 O 0.0641 0.2191 0.7121
O2 O 0.1579 0.5212 0.0957
O3 O 0.1589 0.0262 0.0888
O4 O 0.2442 0.7270 0.4729
O5 O 0.2605 0.6304 0.7690
O6 O 0.3961 0.1483 0.4335
O7 O 0.4182 0.1193 0.6198
```


Q: Look up the energy with MP2020 corrections of the third one.
A: -0.2237 Ha/atom


Q: What is the energy with MP2020 corrections in the third record?
A: -0.2237 Ha/atom


Q: The lowest DFT formation energy belongs to which entry?
A: Er2Zr8O19